No. 1
A plane-wave DFT calculation with PBE+U was carried out for an optimized crystal structure of Li4Fe3Ni3W2O16.

Its formation energy is -52.1 eV per formula unit. The space-group type is Cm, No. 8. The MP2020-corrected energy is -7.41 eV/atom.

The structure in CIF format:
```
data_Li4Fe3Ni3W2O16
_chemical_formula_sum 'Li4 Fe3 Ni3 W2 O16'
_space_group_name_H-M_alt 'P 1'
_space_group_IT_number 1
_space_group_name_Hall 'P 1'
_cell_length_a 5.948
_cell_length_b 5.948
_cell_length_c 9.706
_cell_angle_alpha 89.82
_cell_angle_beta 89.82
_cell_angle_gamma 59.84
loop_
_atom_site_label
_atom_site_type_symbol
_atom_site_fract_x
_atom_site_fract_y
_atom_site_fract_z
Li1 Li 0.666 0.666 0.906
Li2 Li 0.000 0.000 0.986
Li3 Li 0.000 0.000 0.490
Li4 Li 0.333 0.333 0.408
Fe1 Fe 0.834 0.343 0.217
Fe2 Fe 0.343 0.834 0.217
Fe3 Fe 0.172 0.172 0.718
Ni1 Ni 0.830 0.830 0.211
Ni2 Ni 0.660 0.170 0.713
Ni3 Ni 0.170 0.660 0.713
W1 W 0.671 0.671 0.488
W2 W 0.339 0.339 0.985
O1 O 0.830 0.346 0.588
O2 O 0.520 0.520 0.350
O3 O 0.660 0.660 0.110
O4 O 0.003 0.003 0.301
O5 O 0.004 0.004 0.799
O6 O 0.346 0.830 0.588
O7 O 0.961 0.516 0.352
O8 O 0.516 0.961 0.352
O9 O 0.172 0.172 0.090
O10 O 0.828 0.828 0.587
O11 O 0.475 0.037 0.851
O12 O 0.037 0.475 0.851
O13 O 0.329 0.329 0.612
O14 O 0.655 0.172 0.087
O15 O 0.480 0.480 0.852
O16 O 0.172 0.655 0.087
```

No. 2
A plane-wave DFT calculation with PBE+U was carried out for an optimized crystal structure of LiFe3O4.

Its formation energy is -13.4 eV per formula unit. The space-group type is C2/c, No. 15. The MP2020-corrected energy is -7.56 eV/atom.

The structure in CIF format:
```
data_LiFe3O4
_chemical_formula_sum 'Li2 Fe6 O8'
_space_group_name_H-M_alt 'P 1'
_space_group_IT_number 1
_space_group_name_Hall 'P 1'
_cell_length_a 6.031
_cell_length_b 6.031
_cell_length_c 6.111
_cell_angle_alpha 59.70
_cell_angle_beta 59.70
_cell_angle_gamma 87.82
loop_
_atom_site_label
_atom_site_type_symbol
_atom_site_fract_x
_atom_site_fract_y
_atom_site_fract_z
Li1 Li 0.500 0.000 0.000
Li2 Li 0.000 0.500 0.500
Fe1 Fe 0.000 0.000 0.000
Fe2 Fe 0.000 0.500 0.000
Fe3 Fe 0.500 0.500 0.500
Fe4 Fe 0.500 0.500 0.000
Fe5 Fe 0.500 0.000 0.500
Fe6 Fe 0.000 0.000 0.500
O1 O 0.758 0.261 0.998
O2 O 0.722 0.735 0.021
O3 O 0.261 0.758 0.498
O4 O 0.265 0.278 0.479
O5 O 0.735 0.722 0.521
O6 O 0.739 0.242 0.502
O7 O 0.278 0.265 0.979
O8 O 0.242 0.739 0.002
```

No. 3
A plane-wave DFT calculation with PBE+U was carried out for an optimized crystal structure of Li5Fe4O8.

Its formation energy is -31.4 eV per formula unit. The space-group type is Cc, No. 9. The MP2020-corrected energy is -6.73 eV/atom.

The structure in CIF format:
```
data_Li5Fe4O8
_chemical_formula_sum 'Li10 Fe8 O16'
_space_group_name_H-M_alt 'P 1'
_space_group_IT_number 1
_space_group_name_Hall 'P 1'
_cell_length_a 6.009
_cell_length_b 6.009
_cell_length_c 9.918
_cell_angle_alpha 89.84
_cell_angle_beta 89.84
_cell_angle_gamma 119.71
loop_
_atom_site_label
_atom_site_type_symbol
_atom_site_fract_x
_atom_site_fract_y
_atom_site_fract_z
Li1 Li 0.810 0.203 0.957
Li2 Li 0.395 0.198 0.960
Li3 Li 0.663 0.330 0.740
Li4 Li 0.805 0.610 0.957
Li5 Li 0.198 0.395 0.460
Li6 Li 0.610 0.805 0.457
Li7 Li 0.000 0.997 0.526
Li8 Li 0.330 0.663 0.240
Li9 Li 0.997 0.000 0.026
Li10 Li 0.203 0.810 0.457
Fe1 Fe 0.663 0.325 0.485
Fe2 Fe 0.325 0.663 0.985
Fe3 Fe 0.830 0.165 0.227
Fe4 Fe 0.336 0.167 0.226
Fe5 Fe 0.828 0.656 0.228
Fe6 Fe 0.167 0.336 0.726
Fe7 Fe 0.656 0.828 0.728
Fe8 Fe 0.165 0.830 0.727
O1 O 0.828 0.156 0.603
O2 O 0.516 0.017 0.350
O3 O 0.682 0.338 0.107
O4 O 0.332 0.152 0.598
O5 O 0.983 0.487 0.351
O6 O 0.521 0.497 0.357
O7 O 0.152 0.332 0.098
O8 O 0.834 0.664 0.607
O9 O 0.497 0.521 0.857
O10 O 0.664 0.834 0.107
O11 O 0.338 0.682 0.607
O12 O 0.988 0.978 0.837
O13 O 0.017 0.516 0.850
O14 O 0.487 0.983 0.851
O15 O 0.156 0.828 0.103
O16 O 0.978 0.988 0.337
```

No. 4
A plane-wave DFT calculation with PBE+U was carried out for an optimized crystal structure of Li9Fe5O12.

Its formation energy is -49.7 eV per formula unit. The space-group type is P1, No. 1. The MP2020-corrected energy is -6.49 eV/atom.

The structure in CIF format:
```
data_Li9Fe5O12
_chemical_formula_sum 'Li9 Fe5 O12'
_space_group_name_H-M_alt 'P 1'
_space_group_IT_number 1
_space_group_name_Hall 'P 1'
_cell_length_a 5.303
_cell_length_b 5.303
_cell_length_c 10.138
_cell_angle_alpha 91.32
_cell_angle_beta 88.72
_cell_angle_gamma 58.65
loop_
_atom_site_label
_atom_site_type_symbol
_atom_site_fract_x
_atom_site_fract_y
_atom_site_fract_z
Li1 Li 0.207 0.794 0.731
Li2 Li 0.272 0.728 0.196
Li3 Li 0.188 0.334 0.244
Li4 Li 0.666 0.813 0.243
Li5 Li 0.001 0.000 0.000
Li6 Li 0.334 0.188 0.756
Li7 Li 0.814 0.666 0.756
Li8 Li 0.727 0.272 0.804
Li9 Li 0.794 0.206 0.269
Fe1 Fe 0.835 0.835 0.500
Fe2 Fe 0.500 0.500 0.500
Fe3 Fe 0.165 0.166 0.500
Fe4 Fe 0.334 0.334 0.000
Fe5 Fe 0.666 0.666 0.000
O1 O 0.169 0.830 0.392
O2 O 0.656 0.992 0.881
O3 O 0.009 0.343 0.881
O4 O 0.489 0.843 0.609
O5 O 0.156 0.513 0.609
O6 O 0.380 0.619 0.884
O7 O 0.619 0.380 0.116
O8 O 0.843 0.489 0.391
O9 O 0.513 0.157 0.391
O10 O 0.992 0.656 0.119
O11 O 0.343 0.009 0.119
O12 O 0.830 0.170 0.608
```

No. 5
A plane-wave DFT calculation with PBE+U was carried out for an optimized crystal structure of Li5Fe11O16.

Its formation energy is -55.1 eV per formula unit. The space-group type is C2/m, No. 12. The MP2020-corrected energy is -7.41 eV/atom. The value obtained for the excess energy over the best structure of this formula in the dataset is 27 meV per atom.

The structure in CIF format:
```
data_Li5Fe11O16
_chemical_formula_sum 'Li5 Fe11 O16'
_space_group_name_H-M_alt 'P 1'
_space_group_IT_number 1
_space_group_name_Hall 'P 1'
_cell_length_a 5.979
_cell_length_b 5.979
_cell_length_c 10.362
_cell_angle_alpha 73.90
_cell_angle_beta 73.90
_cell_angle_gamma 60.38
loop_
_atom_site_label
_atom_site_type_symbol
_atom_site_fract_x
_atom_site_fract_y
_atom_site_fract_z
Li1 Li 0.500 0.000 0.000
Li2 Li 0.000 0.500 0.000
Li3 Li 0.500 0.000 0.500
Li4 Li 0.000 0.000 0.000
Li5 Li 0.000 0.500 0.500
Fe1 Fe 0.500 0.500 0.000
Fe2 Fe 0.254 0.254 0.250
Fe3 Fe 0.245 0.753 0.752
Fe4 Fe 0.755 0.247 0.248
Fe5 Fe 0.247 0.755 0.248
Fe6 Fe 0.000 0.000 0.500
Fe7 Fe 0.246 0.246 0.754
Fe8 Fe 0.500 0.500 0.500
Fe9 Fe 0.754 0.754 0.246
Fe10 Fe 0.746 0.746 0.750
Fe11 Fe 0.753 0.245 0.752
O1 O 0.623 0.129 0.125
O2 O 0.377 0.875 0.377
O3 O 0.377 0.377 0.873
O4 O 0.878 0.878 0.373
O5 O 0.124 0.124 0.135
O6 O 0.620 0.620 0.630
O7 O 0.623 0.623 0.127
O8 O 0.380 0.380 0.370
O9 O 0.125 0.623 0.623
O10 O 0.623 0.125 0.623
O11 O 0.129 0.623 0.125
O12 O 0.377 0.871 0.875
O13 O 0.871 0.377 0.875
O14 O 0.875 0.377 0.377
O15 O 0.122 0.122 0.627
O16 O 0.876 0.876 0.865
```